Entry 1:
DFT (GGA-PBE) results for Mg8B5IN10 after structural relaxation.

a b c (Å): 10.0325 10.0325 10.0325
angles (deg): 124.19 111.47 94.13
Closest atoms and distances in Å follow each position.
Fractional positions:
Mg  0.1048  0.1048  0.5000  4 N 2.06-2.08
Mg  0.6843  0.1843  0.0000  4 N 2.11-2.12
Mg  0.5000  0.2489  0.7489  4 N 2.06-2.16
Mg  0.5000  0.7511  0.2511  4 N 2.06-2.16
Mg  0.1048  0.6048  0.0000  4 N 2.06-2.08
Mg  0.0000  0.2511  0.2511  4 N 2.06-2.16
Mg  0.7247  0.0459  0.2707  3 N 2.07-2.09
Mg  0.6843  0.6843  0.5000  4 N 2.11-2.12
Mg  0.8952  0.3952  0.0000  4 N 2.06-2.08
Mg  0.2753  0.9541  0.7293  3 N 2.07-2.09
Mg  0.2753  0.5459  0.3212  3 N 2.07-2.09
Mg  0.3157  0.3157  0.5000  4 N 2.11-2.12
Mg  0.7247  0.4541  0.6788  3 N 2.07-2.09
Mg  0.0000  0.7489  0.7489  4 N 2.06-2.16
Mg  0.3157  0.8157  0.0000  4 N 2.11-2.12
Mg  0.8952  0.8952  0.5000  4 N 2.06-2.08
B  0.8961  0.0443  0.8518  2 N 1.34
B  0.4855  0.8859  0.5996  2 N 1.35
B  0.3075  0.4557  0.8518  2 N 1.34
B  0.6925  0.5443  0.1482  2 N 1.34
B  0.5145  0.1141  0.4004  2 N 1.35
B  0.2137  0.6141  0.5996  2 N 1.35
B  0.0967  0.7500  0.3467  2 N 1.34
B  0.9033  0.2500  0.6533  2 N 1.34
B  0.1039  0.9557  0.1482  2 N 1.34
B  0.7863  0.3859  0.4004  2 N 1.35
N  0.3068  0.5992  0.9925  1 B 1.34
N  0.1067  0.0992  0.2924  1 B 1.34
N  0.6932  0.4008  0.0075  1 B 1.34
N  0.0993  0.8927  0.4920  1 B 1.34
N  0.8933  0.9008  0.7076  1 B 1.34
N  0.3068  0.3143  0.7076  1 B 1.34
N  0.5180  0.9720  0.2594  1 B 1.35
N  0.2126  0.4720  0.4540  1 B 1.35
N  0.5180  0.2586  0.5460  1 B 1.35
N  0.7874  0.5280  0.5460  1 B 1.35
N  0.7874  0.2414  0.2594  1 B 1.35
N  0.9007  0.3927  0.7934  1 B 1.34
N  0.9007  0.1073  0.5080  1 B 1.34
N  0.6932  0.6857  0.2924  1 B 1.34
N  0.4820  0.7414  0.4540  1 B 1.35
N  0.2126  0.7586  0.7406  1 B 1.35
N  0.8933  0.1857  0.9925  1 B 1.34
N  0.1067  0.8143  0.0075  1 B 1.34
N  0.0993  0.6073  0.2066  1 B 1.34
N  0.4820  0.0280  0.7406  1 B 1.35
I  0.6525  0.7500  0.9025  2 Mg 2.90
I  0.3475  0.2500  0.0975  2 Mg 2.90

Values from the calculation:
- energy relative to the elements (eV/atom) = -1.113
- space-group type = Imma
- spin magnetization (μB/atom) = 0.000
- theoretical density (g/cm3) = 2.36

Entry 2:
DFT (GGA-PBE) results for NdB5IO11 after structural relaxation.

a b c (Å): 15.7290 6.5366 11.6907
angles (deg): 58.25 90.00 90.00
Closest atoms and distances in Å follow each position.
Fractional positions:
O  0.8345  0.0711  0.3756  2 B 1.35-1.48
O  0.8993  0.3635  0.6748  2 B 1.40-1.44
O  0.1005  0.9315  0.8853  1 I 1.84
O  0.1007  0.6365  0.3252  2 B 1.40-1.44
O  0.7528  0.3525  0.1963  2 B 1.38-1.52
O  0.0689  0.2128  0.4501  2 B 1.37-1.44
O  0.1846  0.3610  0.5200  2 B 1.44-1.47
O  0.5610  0.6679  0.4889  1 I 1.84
O  0.5334  0.5046  0.7985  1 B 1.38
O  0.7139  0.8285  0.1052  1 B 1.35
O  0.7531  0.9411  0.7552  2 B 1.40
O  0.1866  0.7584  0.4546  2 B 1.37-1.52
O  0.8134  0.2416  0.5454  2 B 1.37-1.52
O  0.2472  0.6475  0.8037  2 B 1.38-1.52
O  0.6846  0.6390  0.9800  2 B 1.44-1.47
O  0.6866  0.2416  0.0454  2 B 1.37-1.52
O  0.8154  0.6390  0.4800  2 B 1.44-1.47
O  0.9666  0.5046  0.2985  1 B 1.38
O  0.0610  0.3321  0.0111  1 I 1.84
O  0.4666  0.4954  0.2015  1 B 1.38
O  0.2531  0.0589  0.7448  2 B 1.40
O  0.7861  0.8285  0.6052  1 B 1.35
O  0.9311  0.7872  0.5499  2 B 1.37-1.44
O  0.6655  0.0711  0.8756  2 B 1.35-1.48
O  0.4311  0.2128  0.9501  2 B 1.37-1.44
O  0.2469  0.0589  0.2448  2 B 1.40
O  0.1655  0.9289  0.6244  2 B 1.35-1.48
O  0.3995  0.9315  0.3853  1 I 1.84
O  0.8995  0.0685  0.1147  1 I 1.84
O  0.5689  0.7872  0.0499  2 B 1.37-1.44
O  0.2528  0.6475  0.3037  2 B 1.38-1.52
O  0.3345  0.9289  0.1244  2 B 1.35-1.48
O  0.7472  0.3525  0.6963  2 B 1.38-1.52
O  0.3993  0.6365  0.8252  2 B 1.40-1.44
O  0.0334  0.4954  0.7015  1 B 1.38
O  0.6005  0.0685  0.6147  1 I 1.84
O  0.2139  0.1715  0.3948  1 B 1.35
O  0.3154  0.3610  0.0200  2 B 1.44-1.47
O  0.6007  0.3635  0.1748  2 B 1.40-1.44
O  0.7469  0.9411  0.2552  2 B 1.40
O  0.2861  0.1715  0.8948  1 B 1.35
O  0.4390  0.3321  0.5111  1 I 1.84
O  0.3134  0.7584  0.9546  2 B 1.37-1.52
O  0.9390  0.6679  0.9889  1 I 1.84
B  0.0442  0.4464  0.3623  3 O 1.37-1.40
B  0.1786  0.5959  0.3989  4 O 1.44-1.52
B  0.8453  0.8319  0.4996  4 O 1.44-1.54
B  0.2122  0.9910  0.3704  3 O 1.35-1.40
B  0.8214  0.4041  0.6011  4 O 1.44-1.52
B  0.1547  0.1681  0.5004  4 O 1.44-1.54
B  0.2878  0.9910  0.8704  3 O 1.35-1.40
B  0.2788  0.8827  0.2232  3 O 1.35-1.40
B  0.3214  0.5959  0.8989  4 O 1.44-1.52
B  0.6786  0.4041  0.1011  4 O 1.44-1.52
B  0.7788  0.1173  0.2768  3 O 1.35-1.40
B  0.4558  0.4464  0.8623  3 O 1.37-1.40
B  0.5442  0.5536  0.1377  3 O 1.37-1.40
B  0.2212  0.8827  0.7232  3 O 1.35-1.40
B  0.3453  0.1681  0.0004  4 O 1.44-1.54
B  0.9558  0.5536  0.6377  3 O 1.37-1.40
B  0.6547  0.8319  0.9996  4 O 1.44-1.54
B  0.7878  0.0090  0.6296  3 O 1.35-1.40
B  0.7122  0.0090  0.1296  3 O 1.35-1.40
B  0.7212  0.1173  0.7768  3 O 1.35-1.40
Nd  0.1695  0.4456  0.6991  1 O 2.17
Nd  0.8305  0.5544  0.3009  1 O 2.17
Nd  0.3305  0.4456  0.1991  1 O 2.17
Nd  0.6695  0.5544  0.8009  1 O 2.17
I  0.5469  0.2999  0.4607  2 O 1.84
I  0.4531  0.7001  0.5393  2 O 1.84
I  0.9531  0.2999  0.9607  2 O 1.84
I  0.0469  0.7001  0.0393  2 O 1.84

Values from the calculation:
- energy relative to the elements (eV/atom) = -2.580
- space-group type = P2_1/c
- spin magnetization (μB/atom) = 0.001
- theoretical density (g/cm3) = 3.26

Entry 3:
DFT (GGA-PBE) results for PuB7IO14 after structural relaxation.

a b c (Å): 16.9641 8.1810 12.7310
angles (deg): 50.91 90.00 90.00
Closest atoms and distances in Å follow each position.
Fractional positions:
O  0.2385  0.6112  0.4222  2 B 1.36-1.51
O  0.6298  0.2668  0.5905  2 B 1.37-1.43
O  0.7615  0.3888  0.5778  2 B 1.36-1.51
O  0.2615  0.6112  0.9222  2 B 1.36-1.51
O  0.7692  0.2272  0.9770  2 B 1.37-1.47
O  0.7308  0.2272  0.4770  2 B 1.37-1.47
O  0.8901  0.9850  0.3272  2 B 1.37-1.43
O  0.1136  0.7506  0.1742  1 Pu 1.82
O  0.7385  0.3888  0.0778  2 B 1.36-1.51
O  0.2733  0.8949  0.1345  2 B 1.35-1.45
O  0.7357  0.6465  0.3353  2 B 1.39-1.49
O  0.6099  0.9850  0.8272  2 B 1.37-1.43
O  0.2327  0.9887  0.7791  3 B 1.48-1.55
O  0.7643  0.6465  0.8353  2 B 1.39-1.49
O  0.7733  0.1051  0.3655  2 B 1.35-1.45
O  0.2948  0.1103  0.8933  2 B 1.40-1.48
O  0.2673  0.9887  0.2791  3 B 1.48-1.55
O  0.1099  0.0150  0.6728  2 B 1.37-1.43
O  0.4148  0.4210  0.9121  1 Pu 1.83
O  0.2357  0.3535  0.1647  2 B 1.39-1.49
O  0.0829  0.3742  0.2282  1 B 1.41
O  0.3678  0.0988  0.7347  2 B 1.36-1.44
O  0.2692  0.7728  0.5230  2 B 1.37-1.47
O  0.8864  0.2494  0.8258  1 Pu 1.82
O  0.5026  0.1939  0.6821  2 B 1.34-1.37
O  0.6322  0.9012  0.2653  2 B 1.36-1.44
O  0.7158  0.7421  0.9655  2 B 1.37-1.48
O  0.2643  0.3535  0.6647  2 B 1.39-1.49
O  0.9148  0.5790  0.5879  1 Pu 1.83
O  0.3702  0.7332  0.4095  2 B 1.37-1.43
O  0.7842  0.7421  0.4655  2 B 1.37-1.48
O  0.2052  0.1103  0.3933  2 B 1.40-1.48
O  0.5829  0.6258  0.2718  1 B 1.41
O  0.0852  0.4210  0.4121  1 Pu 1.83
O  0.5852  0.5790  0.0879  1 Pu 1.83
O  0.8702  0.2668  0.0905  2 B 1.37-1.43
O  0.9171  0.6258  0.7718  1 B 1.41
O  0.7673  0.0113  0.2209  3 B 1.48-1.55
O  0.7948  0.8897  0.6067  2 B 1.40-1.48
O  0.4974  0.8061  0.3179  2 B 1.34-1.37
O  0.4171  0.3742  0.7282  1 B 1.41
O  0.0026  0.8061  0.8179  2 B 1.34-1.37
O  0.3864  0.7506  0.6742  1 Pu 1.82
O  0.3901  0.0150  0.1728  2 B 1.37-1.43
O  0.7052  0.8897  0.1067  2 B 1.40-1.48
O  0.1322  0.0988  0.2347  2 B 1.36-1.44
O  0.7267  0.1051  0.8655  2 B 1.35-1.45
O  0.2842  0.2579  0.0345  2 B 1.37-1.48
O  0.7327  0.0113  0.7209  3 B 1.48-1.55
O  0.9974  0.1939  0.1821  2 B 1.34-1.37
O  0.2158  0.2579  0.5345  2 B 1.37-1.48
O  0.6136  0.2494  0.3258  1 Pu 1.82
O  0.1298  0.7332  0.9095  2 B 1.37-1.43
O  0.8678  0.9012  0.7653  2 B 1.36-1.44
O  0.2267  0.8949  0.6345  2 B 1.35-1.45
O  0.2308  0.7728  0.0230  2 B 1.37-1.47
B  0.1935  0.0399  0.6517  4 O 1.43-1.55
B  0.7884  0.2241  0.0905  4 O 1.43-1.51
B  0.2915  0.1320  0.7689  4 O 1.44-1.49
B  0.2599  0.4109  0.0415  3 O 1.36-1.39
B  0.2332  0.9291  0.5165  3 O 1.35-1.40
B  0.7085  0.8680  0.2311  4 O 1.44-1.49
B  0.5688  0.7837  0.2835  3 O 1.34-1.41
B  0.3065  0.0399  0.1517  4 O 1.43-1.55
B  0.2884  0.7759  0.4095  4 O 1.43-1.51
B  0.2116  0.7759  0.9095  4 O 1.43-1.51
B  0.0688  0.2163  0.2165  3 O 1.34-1.41
B  0.6935  0.9601  0.8483  4 O 1.43-1.55
B  0.7332  0.0709  0.9835  3 O 1.35-1.40
B  0.5816  0.1476  0.7014  3 O 1.37
B  0.7915  0.8680  0.7311  4 O 1.44-1.49
B  0.7401  0.5891  0.9585  3 O 1.36-1.39
B  0.7599  0.5891  0.4585  3 O 1.36-1.39
B  0.4312  0.2163  0.7165  3 O 1.34-1.41
B  0.7668  0.0709  0.4835  3 O 1.35-1.40
B  0.2401  0.4109  0.5415  3 O 1.36-1.39
B  0.2085  0.1320  0.2689  4 O 1.44-1.49
B  0.9184  0.1476  0.2014  3 O 1.37
B  0.4184  0.8524  0.2986  3 O 1.37
B  0.8065  0.9601  0.3483  4 O 1.43-1.55
B  0.7116  0.2241  0.5905  4 O 1.43-1.51
B  0.0816  0.8524  0.7986  3 O 1.37
B  0.2668  0.9291  0.0165  3 O 1.35-1.40
B  0.9312  0.7837  0.7835  3 O 1.34-1.41
I  0.1108  0.3898  0.7875  1 O 3.15
I  0.8892  0.6102  0.2125  1 O 3.15
I  0.3892  0.3898  0.2875  1 O 3.15
I  0.6108  0.6102  0.7125  1 O 3.15
Pu  0.3391  0.4940  0.7873  2 O 1.82-1.83
Pu  0.6609  0.5060  0.2127  2 O 1.82-1.83
Pu  0.1609  0.4940  0.2873  2 O 1.82-1.83
Pu  0.8391  0.5060  0.7127  2 O 1.82-1.83

Values from the calculation:
- energy relative to the elements (eV/atom) = -2.516
- space-group type = P2_1/c
- spin magnetization (μB/atom) = 0.000
- theoretical density (g/cm3) = 3.25